Record 1
CsAl3P6O20: relaxed, PBE.

a b c (Å): 8.442 8.442 12.333
angles (deg): 90.00 90.00 106.08
Positions (direct):
Al: 0.321 0.777 0.221
O: 0.305 0.236 0.895
O: 0.573 0.383 0.051
O: 0.862 0.568 0.073
O: 0.265 0.793 0.874
O: 0.829 0.057 0.278
O: 0.282 0.314 0.696
O: 0.782 0.814 0.804
O: 0.805 0.736 0.605
P: 0.904 0.638 0.195
O: 0.507 0.821 0.725
O: 0.552 0.846 0.241
Al: 0.277 0.821 0.721
P: 0.638 0.904 0.805
O: 0.821 0.507 0.275
P: 0.379 0.753 0.958
Cs: 0.000 0.000 0.000
O: 0.814 0.782 0.196
P: 0.404 0.138 0.305
Cs: 0.500 0.500 0.500
P: 0.879 0.725 0.719
O: 0.217 0.585 0.700
O: 0.717 0.085 0.800
O: 0.007 0.321 0.775
Al: 0.380 0.380 0.000
O: 0.346 0.052 0.741
O: 0.557 0.329 0.778
O: 0.293 0.765 0.374
O: 0.236 0.305 0.105
O: 0.085 0.717 0.200
O: 0.848 0.303 0.429
O: 0.846 0.552 0.759
O: 0.883 0.073 0.551
P: 0.379 0.225 0.781
P: 0.253 0.879 0.458
O: 0.303 0.848 0.571
O: 0.057 0.829 0.722
O: 0.793 0.265 0.126
O: 0.765 0.293 0.626
O: 0.052 0.346 0.259
Al: 0.777 0.321 0.779
P: 0.879 0.253 0.542
P: 0.753 0.379 0.042
O: 0.803 0.348 0.929
O: 0.362 0.068 0.427
O: 0.568 0.862 0.927
P: 0.138 0.404 0.695
O: 0.736 0.805 0.395
O: 0.073 0.883 0.449
O: 0.329 0.557 0.222
P: 0.225 0.379 0.219
O: 0.068 0.362 0.573
O: 0.348 0.803 0.071
O: 0.585 0.217 0.300
O: 0.383 0.573 0.949
P: 0.725 0.879 0.281
O: 0.314 0.282 0.304
O: 0.321 0.007 0.225
Al: 0.880 0.880 0.500
Al: 0.821 0.277 0.279

The calculation puts the formation energy at -2.930 eV per atom. The total moment is 0.00 Bohr magnetons per cell. The total energy comes out at -435.451 eV per cell.

---

Record 2
CaZr2PbO6: relaxed, PBE.

a b c (Å): 8.279 8.282 8.291
angles (deg): 89.84 89.68 89.71
Positions (direct):
O: 0.491 0.692 0.772
O: 0.685 0.273 0.000
O: 0.191 0.266 0.491
O: 0.701 0.763 0.491
Zr: 0.243 0.749 0.743
Ca: 0.498 0.014 0.014
O: 0.281 0.490 0.176
O: 0.764 0.491 0.700
Ca: 0.515 0.510 0.999
O: 0.501 0.773 0.178
O: 0.784 0.987 0.216
Zr: 0.746 0.242 0.249
O: 0.191 0.991 0.271
O: 0.001 0.689 0.251
O: 0.485 0.291 0.724
Ca: 0.011 0.500 0.014
O: 0.985 0.222 0.789
Pb: 0.509 0.997 0.505
Zr: 0.240 0.251 0.747
Zr: 0.751 0.741 0.239
O: 0.256 0.999 0.694
Zr: 0.253 0.743 0.238
O: 0.220 0.788 0.986
Ca: 0.017 0.012 0.500
O: 0.272 0.187 0.992
O: 0.709 0.487 0.279
Pb: 0.996 0.509 0.510
Pb: 0.516 0.514 0.517
O: 0.775 0.185 0.500
O: 0.987 0.786 0.683
Pb: 0.017 0.012 0.014
Zr: 0.248 0.249 0.245
O: 0.181 0.500 0.778
O: 0.283 0.714 0.486
Zr: 0.740 0.242 0.754
O: 0.679 0.989 0.790
Zr: 0.748 0.750 0.752
O: 0.993 0.275 0.189
O: 0.491 0.185 0.266
O: 0.780 0.674 0.988

The calculation puts the formation energy at -3.235 eV per atom. The total moment is 0.00 Bohr magnetons per cell. The total energy comes out at -322.911 eV per cell.

---

no.,E (MP2020) (eV per atom)
1,-7.72
2,-8.48